A relaxed structure of ZrH27C8N2Cl5O2, computed with PBE-GGA.

E = -5.156 eV per atom

a = 7.3168 Å, b = 14.7138 Å, c = 19.7496 Å
α = 90.00°, β = 90.00°, γ = 90.00°
Last column: nearest neighbours and their distance in Å.
Space group P2_12_12_1 (No. 19)
One atom of each set of equivalent atoms:
Zr 0.2244 0.0258 0.3518 [4 per cell]  1 O 1.92
H 0.0019 0.7085 0.5466 [4 per cell]  1 C 1.10
H 0.0104 0.8901 0.2122 [4 per cell]  1 C 1.10
H 0.0169 0.3478 0.4984 [4 per cell]  1 C 1.10
H 0.0210 0.7083 0.6673 [4 per cell]  1 C 1.10
H 0.0528 0.8139 0.7114 [4 per cell]  1 C 1.10
H 0.0574 0.0302 0.9690 [4 per cell]  1 O 1.00
H 0.0576 0.9347 0.0954 [4 per cell]  1 N 1.06
H 0.0668 0.4291 0.8613 [4 per cell]  1 C 1.10
H 0.0781 0.4075 0.9504 [4 per cell]  1 C 1.09
H 0.0867 0.5964 0.2951 [4 per cell]  1 C 1.10
H 0.1091 0.2592 0.4456 [4 per cell]  1 C 1.10
H 0.1172 0.7959 0.4992 [4 per cell]  1 C 1.10
H 0.1272 0.6820 0.2325 [4 per cell]  1 C 1.10
H 0.1392 0.3014 0.3188 [4 per cell]  1 C 1.10
H 0.1603 0.7416 0.1224 [4 per cell]  1 C 1.10
H 0.1887 0.5552 0.6384 [4 per cell]  1 C 1.10
H 0.1930 0.3327 0.8923 [4 per cell]  1 C 1.10
H 0.1928 0.4186 0.3342 [4 per cell]  1 C 1.10
H 0.1977 0.4434 0.6033 [4 per cell]  1 C 1.10
H 0.2086 0.8651 0.6018 [4 per cell]  1 N 1.06
H 0.2221 0.3677 0.4503 [4 per cell]  1 C 1.10
H 0.2242 0.1600 0.6555 [4 per cell]  1 C 1.10
H 0.2269 0.1808 0.5660 [4 per cell]  1 C 1.09
H 0.2330 0.5398 0.5497 [4 per cell]  1 C 1.09
H 0.2456 0.7194 0.5524 [4 per cell]  1 C 1.10
H 0.2478 0.5764 0.2276 [4 per cell]  1 C 1.10
H 0.2484 0.7523 0.6806 [4 per cell]  1 C 1.10
C 0.0731 0.3761 0.9002 [4 per cell]  3 H 1.09-1.10
C 0.0818 0.3691 0.3286 [4 per cell]  3 H 1.10
C 0.0896 0.3329 0.4511 [4 per cell]  3 H 1.10
C 0.1052 0.7700 0.6709 [4 per cell]  3 H 1.10
C 0.1163 0.6081 0.2411 [4 per cell]  3 H 1.10
C 0.1165 0.7564 0.5464 [4 per cell]  3 H 1.10
C 0.1577 0.5141 0.5936 [4 per cell]  3 H 1.09-1.10
C 0.1958 0.8130 0.1132 [4 per cell]  3 H 1.09-1.10
N 0.0233 0.8662 0.1067 [4 per cell]  1 H 1.06
N 0.0960 0.8199 0.6049 [4 per cell]  1 H 1.06
Cl 0.0514 0.0677 0.0723 [4 per cell]  3 H 2.01-2.12
Cl 0.0889 0.0324 0.7539 [4 per cell]  1 Zr 2.52
Cl 0.0936 0.0666 0.4656 [4 per cell]  1 Zr 2.52, 1 H 2.77
Cl 0.1000 0.8265 0.8517 [4 per cell]  1 Zr 2.52, 2 H 2.76-2.80
Cl 0.1006 0.8661 0.3671 [4 per cell]  1 Zr 2.54, 1 H 2.81
O 0.0252 0.0714 0.2982 [4 per cell]  1 C 1.40
O 0.0361 0.0194 0.9198 [4 per cell]  1 H 1.00